P.
Here is crystalline MgV12Zn6O24 at its relaxed geometry from Materials Project. Energies are from PBE with a Hubbard U.

Computed properties:
* size of the total moment: 26.0 μB per cell
* V: 11.22 Å³/atom
* ρ: 4858 kg/m3

Lattice parameters (Å, degrees): 5.981 6.049 15.346 89.92 89.75 60.39
Positions (direct):
1 Mg 0.000 0.000 0.000
2 V 0.000 0.499 0.002
3 V 0.166 0.168 0.340
4 V 0.166 0.661 0.340
5 V 0.341 0.827 0.664
6 V 0.498 0.002 0.001
7 V 0.500 0.500 0.002
8 V 0.660 0.167 0.340
9 V 0.665 0.667 0.209
10 V 0.668 0.661 0.833
11 V 0.831 0.826 0.663
12 V 0.833 0.334 0.664
13 V 0.996 0.000 0.503
14 Zn 0.001 0.993 0.154
15 Zn 0.330 0.335 0.545
16 Zn 0.331 0.334 0.166
17 Zn 0.335 0.326 0.795
18 Zn 0.664 0.664 0.463
19 Zn 0.995 0.002 0.846
20 O 0.000 0.996 0.274
21 O 0.001 0.998 0.728
22 O 0.016 0.480 0.258
23 O 0.153 0.154 0.586
24 O 0.156 0.695 0.583
25 O 0.164 0.669 0.081
26 O 0.169 0.160 0.079
27 O 0.303 0.854 0.416
28 O 0.328 0.335 0.409
29 O 0.337 0.323 0.930
30 O 0.340 0.835 0.921
31 O 0.483 0.498 0.258
32 O 0.498 0.015 0.258
33 O 0.515 0.962 0.751
34 O 0.519 0.504 0.749
35 O 0.662 0.675 0.080
36 O 0.667 0.160 0.079
37 O 0.669 0.657 0.591
38 O 0.692 0.157 0.584
39 O 0.827 0.834 0.922
40 O 0.832 0.338 0.919
41 O 0.838 0.306 0.415
42 O 0.848 0.840 0.415
43 O 0.972 0.504 0.749

---

Q.
Here is crystalline MgV12Zn6O24 at its relaxed geometry from Materials Project. Energies are from PBE with a Hubbard U.

Computed properties:
* size of the total moment: 26.0 μB per cell
* V: 11.31 Å³/atom
* ρ: 4821 kg/m3

Lattice parameters (Å, degrees): 6.028 6.039 15.394 89.65 88.80 60.23
Positions (direct):
1 Mg 0.000 0.000 0.000
2 V 0.152 0.183 0.666
3 V 0.152 0.673 0.666
4 V 0.310 0.350 0.837
5 V 0.335 0.837 0.342
6 V 0.494 0.004 0.003
7 V 0.495 0.506 0.004
8 V 0.643 0.180 0.666
9 V 0.823 0.347 0.343
10 V 0.824 0.837 0.344
11 V 0.968 0.019 0.158
12 V 0.988 0.008 0.505
13 V 0.997 0.504 0.999
14 Zn 0.322 0.342 0.462
15 Zn 0.327 0.342 0.215
16 Zn 0.643 0.682 0.796
17 Zn 0.654 0.675 0.546
18 Zn 0.659 0.679 0.172
19 Zn 0.980 0.022 0.848
20 O 0.003 0.003 0.282
21 O 0.007 0.492 0.747
22 O 0.140 0.164 0.422
23 O 0.142 0.703 0.422
24 O 0.169 0.166 0.922
25 O 0.173 0.670 0.922
26 O 0.294 0.861 0.591
27 O 0.320 0.844 0.079
28 O 0.323 0.342 0.595
29 O 0.338 0.332 0.074
30 O 0.457 0.507 0.748
31 O 0.470 0.045 0.749
32 O 0.512 0.984 0.263
33 O 0.513 0.514 0.262
34 O 0.650 0.680 0.930
35 O 0.654 0.675 0.415
36 O 0.656 0.174 0.924
37 O 0.683 0.160 0.420
38 O 0.820 0.341 0.074
39 O 0.822 0.839 0.076
40 O 0.830 0.314 0.588
41 O 0.840 0.848 0.590
42 O 0.970 0.521 0.263
43 O 0.977 0.015 0.729

---

R.
Here is crystalline MgV12Zn6O24 at its relaxed geometry from Materials Project. Energies are from PBE with a Hubbard U.

Computed properties:
* size of the total moment: 26.0 μB per cell
* V: 11.31 Å³/atom
* ρ: 4823 kg/m3

Lattice parameters (Å, degrees): 6.057 6.153 14.941 90.47 90.28 119.16
Positions (direct):
1 Mg 0.000 0.000 0.000
2 V 0.170 0.845 0.824
3 V 0.305 0.118 0.171
4 V 0.309 0.618 0.160
5 V 0.482 0.968 0.001
6 V 0.485 0.965 0.374
7 V 0.494 0.476 0.496
8 V 0.669 0.340 0.832
9 V 0.670 0.844 0.823
10 V 0.815 0.118 0.171
11 V 0.829 0.655 0.663
12 V 0.989 0.477 0.496
13 V 0.989 0.974 0.495
14 Zn 0.156 0.308 0.330
15 Zn 0.168 0.334 0.699
16 Zn 0.178 0.370 0.897
17 Zn 0.496 0.988 0.620
18 Zn 0.778 0.561 0.045
19 Zn 0.815 0.626 0.285
20 O 0.000 0.524 0.749
21 O 0.129 0.805 0.576
22 O 0.136 0.273 0.093
23 O 0.153 0.804 0.084
24 O 0.156 0.310 0.566
25 O 0.309 0.622 0.420
26 O 0.319 0.144 0.913
27 O 0.324 0.154 0.421
28 O 0.352 0.711 0.898
29 O 0.458 0.450 0.239
30 O 0.476 0.947 0.244
31 O 0.501 0.004 0.753
32 O 0.528 0.529 0.747
33 O 0.624 0.248 0.098
34 O 0.650 0.804 0.085
35 O 0.664 0.791 0.574
36 O 0.682 0.345 0.576
37 O 0.816 0.139 0.914
38 O 0.825 0.642 0.423
39 O 0.836 0.142 0.420
40 O 0.844 0.691 0.911
41 O 0.991 0.980 0.745
42 O 0.993 0.982 0.246
43 O 0.995 0.450 0.239

---

Most stable: R. Least stable: Q.

---

P.
Here is crystalline Li2VOF3 at its relaxed geometry from Materials Project. Energies are from PBE with a Hubbard U.

Computed properties:
* size of the total moment: 8.0 μB per cell
* V: 11.05 Å³/atom
* ρ: 2959 kg/m3

Lattice parameters (Å, degrees): 6.021 6.021 8.534 90.00 90.00 90.00
Positions (direct):
1 Li 0.010 0.238 0.000
2 Li 0.238 0.990 0.750
3 Li 0.243 0.738 0.114
4 Li 0.262 0.243 0.364
5 Li 0.738 0.757 0.864
6 Li 0.757 0.262 0.614
7 Li 0.762 0.010 0.250
8 Li 0.990 0.762 0.500
9 V 0.250 0.506 0.760
10 V 0.494 0.250 0.010
11 V 0.506 0.750 0.510
12 V 0.750 0.494 0.260
13 O 0.263 0.473 0.980
14 O 0.473 0.737 0.730
15 O 0.527 0.263 0.230
16 O 0.737 0.527 0.480
17 F 0.011 0.748 0.743
18 F 0.026 0.255 0.741
19 F 0.247 0.513 0.510
20 F 0.252 0.011 0.993
21 F 0.255 0.974 0.491
22 F 0.487 0.247 0.760
23 F 0.513 0.753 0.260
24 F 0.745 0.026 0.991
25 F 0.748 0.989 0.493
26 F 0.753 0.487 0.010
27 F 0.974 0.745 0.241
28 F 0.989 0.252 0.243

---

Q.
Here is crystalline Li2VOF3 at its relaxed geometry from Materials Project. Energies are from PBE with a Hubbard U.

Computed properties:
* size of the total moment: 4.0 μB per cell
* V: 10.71 Å³/atom
* ρ: 3053 kg/m3
* maximum piezoelectric response: 2.32 C/m2

Lattice parameters (Å, degrees): 5.066 5.485 6.033 116.60 90.04 90.04
Positions (direct):
1 Li 0.000 0.000 0.000
2 Li 0.001 0.437 0.718
3 Li 0.463 0.494 0.996
4 Li 0.465 0.931 0.721
5 V 0.008 0.850 0.419
6 V 0.458 0.349 0.419
7 O 0.191 0.630 0.538
8 O 0.275 0.133 0.542
9 F 0.131 0.679 0.053
10 F 0.335 0.176 0.053
11 F 0.643 0.569 0.757
12 F 0.676 0.596 0.296
13 F 0.790 0.098 0.299
14 F 0.822 0.066 0.757

---

R.
Here is crystalline Li2VOF3 at its relaxed geometry from Materials Project. Energies are from PBE with a Hubbard U.

Computed properties:
* size of the total moment: 4.0 μB per cell
* V: 10.74 Å³/atom
* ρ: 3045 kg/m3

Lattice parameters (Å, degrees): 5.710 5.710 5.225 90.27 90.27 61.91
Positions (direct):
1 Li 0.090 0.500 0.482
2 Li 0.193 0.193 0.005
3 Li 0.500 0.910 0.518
4 Li 0.807 0.807 0.995
5 V 0.539 0.461 0.000
6 V 0.800 0.200 0.500
7 O 0.640 0.142 0.193
8 O 0.858 0.360 0.807
9 F 0.155 0.119 0.363
10 F 0.157 0.581 0.134
11 F 0.419 0.843 0.866
12 F 0.423 0.323 0.677
13 F 0.677 0.577 0.323
14 F 0.881 0.845 0.637

---

Most stable: P. Least stable: R.

---

P.
Here is crystalline LiCoP4O12 at its relaxed geometry from Materials Project. Energies are from PBE with a Hubbard U.

Computed properties:
* size of the total moment: 0.0 μB per cell
* V: 13.94 Å³/atom
* ρ: 2527 kg/m3

Lattice parameters (Å, degrees): 5.200 13.691 7.108 90.00 97.40 90.00
Positions (direct):
1 Li 0.122 0.000 0.137
2 Li 0.878 0.500 0.863
3 Co 0.017 0.230 0.506
4 Co 0.983 0.730 0.494
5 P 0.278 0.815 0.886
6 P 0.360 0.163 0.897
7 P 0.471 0.591 0.459
8 P 0.497 0.870 0.537
9 P 0.503 0.370 0.463
10 P 0.529 0.091 0.541
11 P 0.640 0.663 0.103
12 P 0.722 0.315 0.114
13 O 0.106 0.746 0.760
14 O 0.127 0.204 0.770
15 O 0.152 0.893 0.985
16 O 0.198 0.600 0.507
17 O 0.230 0.357 0.507
18 O 0.283 0.811 0.430
19 O 0.313 0.103 0.061
20 O 0.326 0.159 0.443
21 O 0.417 0.983 0.491
22 O 0.455 0.754 0.044
23 O 0.466 0.599 0.232
24 O 0.491 0.861 0.763
25 O 0.509 0.361 0.237
26 O 0.534 0.099 0.768
27 O 0.545 0.254 0.956
28 O 0.583 0.483 0.509
29 O 0.674 0.659 0.557
30 O 0.687 0.603 0.939
31 O 0.717 0.311 0.570
32 O 0.770 0.857 0.493
33 O 0.802 0.100 0.493
34 O 0.848 0.393 0.015
35 O 0.873 0.704 0.230
36 O 0.894 0.246 0.240

---

Q.
Here is crystalline LiCoP4O12 at its relaxed geometry from Materials Project. Energies are from PBE with a Hubbard U.

Computed properties:
* size of the total moment: 16.0 μB per cell
* V: 12.20 Å³/atom
* ρ: 2886 kg/m3

Lattice parameters (Å, degrees): 9.110 10.335 9.337 90.00 91.74 90.00
Positions (direct):
1 Li 0.101 0.000 0.243
2 Li 0.396 0.136 0.746
3 Li 0.604 0.636 0.254
4 Li 0.899 0.500 0.757
5 Co 0.241 0.615 0.235
6 Co 0.254 0.527 0.735
7 Co 0.746 0.027 0.265
8 Co 0.759 0.115 0.765
9 P 0.034 0.425 0.462
10 P 0.034 0.720 0.956
11 P 0.232 0.934 0.949
12 P 0.237 0.209 0.449
13 P 0.256 0.795 0.520
14 P 0.258 0.347 0.019
15 P 0.438 0.430 0.456
16 P 0.441 0.708 0.961
17 P 0.559 0.208 0.039
18 P 0.562 0.930 0.544
19 P 0.742 0.847 0.981
20 P 0.744 0.295 0.480
21 P 0.763 0.709 0.551
22 P 0.768 0.434 0.051
23 P 0.966 0.220 0.044
24 P 0.966 0.925 0.538
25 O 0.069 0.452 0.619
26 O 0.071 0.612 0.853
27 O 0.078 0.860 0.898
28 O 0.079 0.282 0.418
29 O 0.083 0.698 0.110
30 O 0.084 0.526 0.358
31 O 0.142 0.237 0.055
32 O 0.142 0.906 0.559
33 O 0.236 0.944 0.107
34 O 0.239 0.096 0.351
35 O 0.243 0.681 0.619
36 O 0.244 0.463 0.116
37 O 0.244 0.764 0.361
38 O 0.248 0.377 0.860
39 O 0.257 0.044 0.852
40 O 0.267 0.201 0.605
41 O 0.341 0.818 0.895
42 O 0.342 0.321 0.381
43 O 0.400 0.269 0.064
44 O 0.401 0.870 0.561
45 O 0.409 0.451 0.612
46 O 0.421 0.592 0.865
47 O 0.423 0.688 0.121
48 O 0.428 0.548 0.358
49 O 0.572 0.048 0.642
50 O 0.577 0.188 0.879
51 O 0.579 0.092 0.135
52 O 0.591 0.951 0.388
53 O 0.599 0.370 0.439
54 O 0.600 0.769 0.936
55 O 0.658 0.821 0.619
56 O 0.659 0.318 0.105
57 O 0.733 0.701 0.395
58 O 0.743 0.544 0.148
59 O 0.752 0.877 0.140
60 O 0.756 0.264 0.639
61 O 0.756 0.963 0.884
62 O 0.757 0.181 0.381
63 O 0.761 0.596 0.649
64 O 0.764 0.444 0.893
65 O 0.858 0.406 0.441
66 O 0.858 0.737 0.945
67 O 0.916 0.026 0.642
68 O 0.917 0.198 0.890
69 O 0.921 0.782 0.582
70 O 0.922 0.360 0.102
71 O 0.929 0.112 0.147
72 O 0.931 0.952 0.381

---

Most stable: Q. Least stable: P.

---

P.
Here is crystalline MgNbCrO4 at its relaxed geometry from Materials Project. Energies are from PBE with a Hubbard U.

Computed properties:
* size of the total moment: 3.6 μB per cell
* V: 12.07 Å³/atom
* ρ: 4582 kg/m3

Lattice parameters (Å, degrees): 5.687 5.687 5.687 137.90 136.09 62.46
Positions (direct):
1 Mg 0.000 0.000 0.000
2 Nb 0.426 0.426 0.000
3 Cr 0.698 0.198 0.500
4 O 0.208 0.208 0.000
5 O 0.439 0.939 0.500
6 O 0.631 0.631 0.000
7 O 0.931 0.431 0.500

---

Q.
Here is crystalline MgNbCrO4 at its relaxed geometry from Materials Project. Energies are from PBE with a Hubbard U.

Computed properties:
* size of the total moment: 3.0 μB per cell
* V: 11.75 Å³/atom
* ρ: 4708 kg/m3

Lattice parameters (Å, degrees): 5.674 5.674 4.056 110.78 110.78 42.94
Positions (direct):
1 Mg 0.000 0.000 0.000
2 Nb 0.738 0.738 0.241
3 Cr 0.464 0.464 0.465
4 O 0.219 0.219 0.220
5 O 0.513 0.513 0.014
6 O 0.756 0.756 0.758
7 O 0.962 0.962 0.462

---

Most stable: Q. Least stable: P.